# 1
{
  "formula": "MgTi2Fe4O8",
  "functional": "PBE with a Hubbard U",
  "state": "relaxed",
  "lattice_angstrom": [[5.710, -3.157, 0.000], [5.710, 3.157, 0.000], [-3.604, 0.000, 5.312]],
  "species": ["Mg", "Ti", "Ti", "Fe", "Fe", "Fe", "Fe", "O", "O", "O", "O", "O", "O", "O", "O"],
  "frac_coords": [[0.000, 0.000, 0.000], [0.868, 0.868, 0.174], [0.868, 0.868, 0.563], [0.259, 0.259, 0.757], [0.431, 0.902, 0.164], [0.543, 0.543, 0.543], [0.902, 0.431, 0.164], [0.119, 0.119, 0.354], [0.120, 0.120, 0.885], [0.120, 0.648, 0.882], [0.138, 0.660, 0.399], [0.648, 0.120, 0.882], [0.660, 0.138, 0.399], [0.667, 0.667, 0.398], [0.668, 0.668, 0.933]],
  "formation_enthalpy_0k_ev_per_fu": -26.58,
  "volume_a3_per_cell": 192,
  "polymorph_energy_kj_per_mol_atoms": 34.0,
  "spacegroup": "Cm (8)"
}


# 2
{
  "formula": "Mg14TiFeO16",
  "functional": "PBE with a Hubbard U",
  "state": "relaxed",
  "lattice_angstrom": [[4.277, 0.000, 0.000], [0.000, 8.546, 0.000], [0.000, 0.000, 8.598]],
  "species": ["Mg", "Mg", "Mg", "Mg", "Mg", "Mg", "Mg", "Mg", "Mg", "Mg", "Mg", "Mg", "Mg", "Mg", "Ti", "Fe", "O", "O", "O", "O", "O", "O", "O", "O", "O", "O", "O", "O", "O", "O", "O", "O"],
  "frac_coords": [[0.000, 0.000, 0.000], [0.000, 0.249, 0.248], [0.000, 0.249, 0.752], [0.000, 0.500, 0.000], [0.000, 0.751, 0.248], [0.000, 0.751, 0.752], [0.500, 0.000, 0.250], [0.500, 0.000, 0.750], [0.500, 0.246, 0.500], [0.500, 0.249, 0.000], [0.500, 0.500, 0.247], [0.500, 0.500, 0.753], [0.500, 0.751, 0.000], [0.500, 0.754, 0.500], [0.000, 0.500, 0.500], [0.000, 0.000, 0.500], [0.000, 0.000, 0.241], [0.000, 0.000, 0.759], [0.000, 0.246, 0.500], [0.000, 0.251, 0.000], [0.000, 0.500, 0.244], [0.000, 0.500, 0.756], [0.000, 0.749, 0.000], [0.000, 0.754, 0.500], [0.500, 0.000, 0.000], [0.500, 0.000, 0.500], [0.500, 0.251, 0.251], [0.500, 0.251, 0.749], [0.500, 0.500, 0.000], [0.500, 0.500, 0.500], [0.500, 0.749, 0.251], [0.500, 0.749, 0.749]],
  "formation_enthalpy_0k_ev_per_fu": -91.79,
  "volume_a3_per_cell": 314,
  "polymorph_energy_kj_per_mol_atoms": 1.9,
  "spacegroup": "Pmmm (47)"
}


# 3
{
  "formula": "MgTi2Fe2O6",
  "functional": "PBE with a Hubbard U",
  "state": "relaxed",
  "lattice_angstrom": [[7.896, 0.000, 0.000], [0.000, 1.531, 6.302], [0.000, -1.531, 6.302]],
  "species": ["Mg", "Ti", "Ti", "Fe", "Fe", "O", "O", "O", "O", "O", "O"],
  "frac_coords": [[0.000, 0.000, 0.000], [0.253, 0.644, 0.644], [0.747, 0.644, 0.644], [0.000, 0.301, 0.301], [0.500, 0.008, 0.008], [0.000, 0.613, 0.613], [0.234, 0.238, 0.238], [0.257, 0.029, 0.029], [0.500, 0.632, 0.632], [0.743, 0.029, 0.029], [0.766, 0.238, 0.238]],
  "formation_enthalpy_0k_ev_per_fu": -25.88,
  "volume_a3_per_cell": 152,
  "polymorph_energy_kj_per_mol_atoms": 14.6,
  "spacegroup": "Amm2 (38)"
}


# 4
{
  "formula": "MgTi4Fe3O12",
  "functional": "PBE with a Hubbard U",
  "state": "relaxed",
  "lattice_angstrom": [[6.453, 0.000, 0.000], [-2.088, 6.143, 0.000], [-2.362, -2.938, 5.864]],
  "species": ["Mg", "Ti", "Ti", "Ti", "Ti", "Fe", "Fe", "Fe", "O", "O", "O", "O", "O", "O", "O", "O", "O", "O", "O", "O"],
  "frac_coords": [[0.000, 0.000, 0.000], [0.432, 0.887, 0.788], [0.438, 0.412, 0.318], [0.914, 0.894, 0.325], [0.943, 0.367, 0.788], [0.482, 0.425, 0.802], [0.867, 0.365, 0.220], [0.919, 0.718, 0.635], [0.105, 0.353, 0.064], [0.105, 0.748, 0.449], [0.197, 0.152, 0.342], [0.219, 0.541, 0.761], [0.264, 0.006, 0.910], [0.530, 0.663, 0.578], [0.614, 0.173, 0.779], [0.621, 0.562, 0.168], [0.707, 0.348, 0.439], [0.715, 0.967, 0.064], [0.889, 0.635, 0.899], [0.902, 0.041, 0.577]],
  "formation_enthalpy_0k_ev_per_fu": -53.29,
  "volume_a3_per_cell": 232,
  "polymorph_energy_kj_per_mol_atoms": 8.5,
  "spacegroup": "P1 (1)"
}


# 5
{
  "formula": "MgTi2Fe2O6",
  "functional": "PBE with a Hubbard U",
  "state": "relaxed",
  "lattice_angstrom": [[8.393, 0.000, 0.000], [0.000, 1.458, 5.309], [0.000, -1.458, 5.309]],
  "species": ["Mg", "Ti", "Ti", "Fe", "Fe", "O", "O", "O", "O", "O", "O"],
  "frac_coords": [[0.000, 0.000, 0.000], [0.321, 0.568, 0.568], [0.679, 0.568, 0.568], [0.000, 0.746, 0.746], [0.500, 0.343, 0.343], [0.000, 0.383, 0.383], [0.165, 0.138, 0.138], [0.344, 0.945, 0.945], [0.500, 0.687, 0.687], [0.656, 0.945, 0.945], [0.835, 0.138, 0.138]],
  "formation_enthalpy_0k_ev_per_fu": -25.40,
  "volume_a3_per_cell": 130,
  "polymorph_energy_kj_per_mol_atoms": 18.8,
  "spacegroup": "Amm2 (38)"
}


# 6
{
  "formula": "MgTiFe4O8",
  "functional": "PBE with a Hubbard U",
  "state": "relaxed",
  "lattice_angstrom": [[5.825, 0.000, 0.000], [2.794, 5.131, 0.000], [2.849, 1.580, 5.285]],
  "species": ["Mg", "Ti", "Fe", "Fe", "Fe", "Fe", "O", "O", "O", "O", "O", "O", "O", "O"],
  "frac_coords": [[0.000, 0.000, 0.000], [0.500, 0.000, 0.000], [0.000, 0.500, 0.000], [0.142, 0.148, 0.530], [0.500, 0.500, 0.500], [0.858, 0.852, 0.470], [0.236, 0.776, 0.705], [0.240, 0.795, 0.238], [0.246, 0.228, 0.770], [0.282, 0.272, 0.181], [0.718, 0.728, 0.819], [0.754, 0.772, 0.230], [0.760, 0.205, 0.762], [0.764, 0.224, 0.295]],
  "formation_enthalpy_0k_ev_per_fu": -27.44,
  "volume_a3_per_cell": 158,
  "polymorph_energy_kj_per_mol_atoms": 21.4,
  "spacegroup": "P-1 (2)"
}


# 7
{
  "formula": "MgTi4FeO10",
  "functional": "PBE with a Hubbard U",
  "state": "relaxed",
  "lattice_angstrom": [[-2.849, -0.522, 4.420], [-4.640, 5.826, 0.822], [-8.086, -1.815, -7.024]],
  "species": ["O", "O", "O", "O", "O", "O", "O", "O", "O", "O", "O", "O", "O", "O", "O", "O", "O", "O", "O", "O", "Ti", "Ti", "Ti", "Ti", "Ti", "Ti", "Ti", "Ti", "Fe", "Fe", "Mg", "Mg"],
  "frac_coords": [[0.192, 0.436, 0.442], [0.198, 0.233, 0.750], [0.000, 0.628, 0.058], [0.738, 0.170, 0.614], [0.500, 0.128, 0.058], [0.997, 0.375, 0.937], [0.817, 0.772, 0.250], [0.238, 0.670, 0.614], [0.811, 0.561, 0.563], [0.874, 0.034, 0.886], [0.263, 0.828, 0.390], [0.123, 0.967, 0.110], [0.692, 0.936, 0.442], [0.763, 0.328, 0.390], [0.497, 0.875, 0.937], [0.317, 0.272, 0.250], [0.623, 0.467, 0.110], [0.373, 0.534, 0.886], [0.698, 0.733, 0.750], [0.311, 0.061, 0.563], [0.332, 0.401, 0.065], [0.663, 0.600, 0.931], [0.017, 0.716, 0.435], [0.482, 0.781, 0.569], [0.163, 0.100, 0.931], [0.517, 0.216, 0.435], [0.832, 0.901, 0.065], [0.982, 0.281, 0.569], [0.915, 0.471, 0.250], [0.414, 0.971, 0.250], [0.581, 0.027, 0.750], [0.081, 0.527, 0.750]],
  "formation_enthalpy_0k_ev_per_fu": -51.58,
  "volume_a3_per_cell": 378
}


# 8
{
  "formula": "MgTi2Fe4O8",
  "functional": "PBE with a Hubbard U",
  "state": "relaxed",
  "lattice_angstrom": [[5.948, 0.000, 0.000], [-2.919, 5.235, 0.000], [-2.529, -1.788, 5.439]],
  "species": ["Mg", "Ti", "Ti", "Fe", "Fe", "Fe", "Fe", "O", "O", "O", "O", "O", "O", "O", "O"],
  "frac_coords": [[0.000, 0.000, 0.000], [0.000, 0.500, 0.000], [0.500, 0.500, 0.000], [0.000, 0.500, 0.500], [0.282, 0.143, 0.463], [0.500, 0.000, 0.000], [0.718, 0.857, 0.537], [0.012, 0.741, 0.764], [0.029, 0.246, 0.777], [0.436, 0.722, 0.197], [0.469, 0.258, 0.216], [0.531, 0.742, 0.784], [0.564, 0.278, 0.803], [0.971, 0.754, 0.223], [0.988, 0.259, 0.236]],
  "formation_enthalpy_0k_ev_per_fu": -31.86,
  "volume_a3_per_cell": 169,
  "polymorph_energy_kj_per_mol_atoms": 0.0,
  "spacegroup": "P-1 (2)"
}


# 9
{
  "formula": "MgTi4Fe3O12",
  "functional": "PBE with a Hubbard U",
  "state": "relaxed",
  "lattice_angstrom": [[-3.753, 3.755, 3.764], [3.753, -3.755, 3.764], [3.753, 3.755, -3.764]],
  "species": ["Mg", "Ti", "Ti", "Ti", "Ti", "Fe", "Fe", "Fe", "O", "O", "O", "O", "O", "O", "O", "O", "O", "O", "O", "O"],
  "frac_coords": [[0.000, 0.000, 0.000], [0.000, 0.000, 0.500], [0.000, 0.500, 0.000], [0.500, 0.000, 0.000], [0.500, 0.500, 0.500], [0.000, 0.500, 0.500], [0.500, 0.000, 0.500], [0.500, 0.500, 0.000], [0.107, 0.817, 0.290], [0.185, 0.299, 0.483], [0.185, 0.701, 0.886], [0.300, 0.110, 0.809], [0.300, 0.491, 0.191], [0.473, 0.183, 0.290], [0.527, 0.817, 0.710], [0.700, 0.509, 0.809], [0.700, 0.890, 0.191], [0.815, 0.299, 0.114], [0.815, 0.701, 0.517], [0.893, 0.183, 0.710]],
  "formation_enthalpy_0k_ev_per_fu": -55.06,
  "volume_a3_per_cell": 212,
  "polymorph_energy_kj_per_mol_atoms": 0.0,
  "spacegroup": "Immm (71)"
}


# 10
{
  "formula": "MgTi2Fe4O10",
  "functional": "PBE with a Hubbard U",
  "state": "relaxed",
  "lattice_angstrom": [[3.792, 0.000, 0.000], [0.000, 10.202, 0.000], [-1.876, 0.000, 5.149]],
  "species": ["Mg", "Ti", "Ti", "Fe", "Fe", "Fe", "Fe", "O", "O", "O", "O", "O", "O", "O", "O", "O", "O"],
  "frac_coords": [[0.000, 0.000, 0.000], [0.287, 0.000, 0.589], [0.670, 0.500, 0.385], [0.359, 0.318, 0.763], [0.359, 0.682, 0.763], [0.631, 0.199, 0.287], [0.631, 0.801, 0.287], [0.141, 0.134, 0.312], [0.141, 0.866, 0.312], [0.236, 0.500, 0.517], [0.416, 0.129, 0.879], [0.416, 0.871, 0.879], [0.532, 0.378, 0.112], [0.532, 0.622, 0.112], [0.780, 0.000, 0.590], [0.794, 0.329, 0.632], [0.794, 0.671, 0.632]],
  "formation_enthalpy_0k_ev_per_fu": -40.05,
  "volume_a3_per_cell": 199,
  "polymorph_energy_kj_per_mol_atoms": 3.7,
  "spacegroup": "Pm (6)"
}


# 11
{
  "formula": "MgTi2Fe2O6",
  "functional": "PBE with a Hubbard U",
  "state": "relaxed",
  "lattice_angstrom": [[5.323, 0.000, 0.000], [-2.641, 4.623, 0.000], [-2.586, -1.560, 4.921]],
  "species": ["Mg", "Ti", "Ti", "Fe", "Fe", "O", "O", "O", "O", "O", "O"],
  "frac_coords": [[0.000, 0.000, 0.000], [0.381, 0.190, 0.573], [0.702, 0.352, 0.056], [0.083, 0.545, 0.626], [0.529, 0.764, 0.296], [0.167, 0.397, 0.313], [0.238, 0.270, 0.820], [0.525, 0.135, 0.301], [0.554, 0.970, 0.812], [0.846, 0.580, 0.810], [0.913, 0.778, 0.305]],
  "formation_enthalpy_0k_ev_per_fu": -27.55,
  "volume_a3_per_cell": 121,
  "polymorph_energy_kj_per_mol_atoms": 0.0,
  "spacegroup": "P1 (1)"
}


# 12
{
  "formula": "MgTiFe4O8",
  "functional": "PBE with a Hubbard U",
  "state": "relaxed",
  "lattice_angstrom": [[5.238, -3.008, 0.000], [5.238, 3.008, 0.000], [-3.485, 0.000, 4.979]],
  "species": ["Mg", "Ti", "Fe", "Fe", "Fe", "Fe", "O", "O", "O", "O", "O", "O", "O", "O"],
  "frac_coords": [[0.000, 0.000, 0.000], [0.000, 0.000, 0.500], [0.000, 0.500, 0.000], [0.370, 0.370, 0.609], [0.500, 0.000, 0.000], [0.630, 0.630, 0.391], [0.229, 0.765, 0.733], [0.233, 0.233, 0.726], [0.235, 0.771, 0.267], [0.242, 0.242, 0.226], [0.758, 0.758, 0.774], [0.765, 0.229, 0.733], [0.767, 0.767, 0.274], [0.771, 0.235, 0.267]],
  "formation_enthalpy_0k_ev_per_fu": -30.54,
  "volume_a3_per_cell": 157,
  "polymorph_energy_kj_per_mol_atoms": 0.0,
  "spacegroup": "C2/m (12)"
}


# 13
{
  "formula": "MgTi2Fe4O10",
  "functional": "PBE with a Hubbard U",
  "state": "relaxed",
  "lattice_angstrom": [[5.129, 0.000, 0.000], [-2.485, 5.044, 0.000], [-0.078, -2.940, 7.230]],
  "species": ["Mg", "Ti", "Ti", "Fe", "Fe", "Fe", "Fe", "O", "O", "O", "O", "O", "O", "O", "O", "O", "O"],
  "frac_coords": [[0.000, 0.000, 0.000], [0.580, 0.091, 0.261], [0.588, 0.188, 0.745], [0.216, 0.391, 0.425], [0.338, 0.677, 0.822], [0.786, 0.553, 0.129], [0.943, 0.882, 0.542], [0.174, 0.979, 0.260], [0.230, 0.754, 0.581], [0.318, 0.286, 0.643], [0.420, 0.141, 0.953], [0.578, 0.776, 0.079], [0.618, 0.512, 0.372], [0.765, 0.119, 0.477], [0.774, 0.950, 0.764], [0.914, 0.547, 0.865], [0.968, 0.327, 0.199]],
  "formation_enthalpy_0k_ev_per_fu": -40.71,
  "volume_a3_per_cell": 187,
  "polymorph_energy_kj_per_mol_atoms": 0.0,
  "spacegroup": "P1 (1)"
}


# 14
{
  "formula": "MgTi2Fe4O10",
  "functional": "PBE with a Hubbard U",
  "state": "relaxed",
  "lattice_angstrom": [[5.193, -1.846, 0.000], [5.193, 1.846, 0.000], [-1.887, 0.000, 10.850]],
  "species": ["Mg", "Ti", "Ti", "Fe", "Fe", "Fe", "Fe", "O", "O", "O", "O", "O", "O", "O", "O", "O", "O"],
  "frac_coords": [[0.000, 0.000, 0.000], [0.329, 0.329, 0.115], [0.644, 0.644, 0.564], [0.359, 0.359, 0.737], [0.362, 0.362, 0.450], [0.656, 0.656, 0.279], [0.678, 0.678, 0.892], [0.182, 0.182, 0.975], [0.203, 0.203, 0.580], [0.263, 0.263, 0.262], [0.469, 0.469, 0.890], [0.485, 0.485, 0.625], [0.511, 0.511, 0.135], [0.536, 0.536, 0.409], [0.773, 0.773, 0.744], [0.797, 0.797, 0.453], [0.832, 0.832, 0.067]],
  "formation_enthalpy_0k_ev_per_fu": -40.15,
  "volume_a3_per_cell": 208,
  "polymorph_energy_kj_per_mol_atoms": 3.2,
  "spacegroup": "Cm (8)"
}


# 15
{
  "formula": "MgTi2Fe4O10",
  "functional": "PBE with a Hubbard U",
  "state": "relaxed",
  "lattice_angstrom": [[5.146, -1.913, 0.000], [5.146, 1.913, 0.000], [-0.172, 0.000, 10.079]],
  "species": ["Mg", "Ti", "Ti", "Fe", "Fe", "Fe", "Fe", "O", "O", "O", "O", "O", "O", "O", "O", "O", "O"],
  "frac_coords": [[0.000, 0.000, 0.000], [0.351, 0.351, 0.797], [0.600, 0.600, 0.320], [0.284, 0.284, 0.502], [0.339, 0.339, 0.187], [0.618, 0.618, 0.685], [0.698, 0.698, 0.997], [0.172, 0.172, 0.311], [0.182, 0.182, 0.685], [0.215, 0.215, 0.006], [0.425, 0.425, 0.634], [0.433, 0.433, 0.371], [0.514, 0.514, 0.890], [0.547, 0.547, 0.145], [0.720, 0.720, 0.483], [0.834, 0.834, 0.837], [0.856, 0.856, 0.145]],
  "formation_enthalpy_0k_ev_per_fu": -39.70,
  "volume_a3_per_cell": 198,
  "polymorph_energy_kj_per_mol_atoms": 5.7,
  "spacegroup": "Cm (8)"
}


# 16
{
  "formula": "MgTi2Fe2O6",
  "functional": "PBE with a Hubbard U",
  "state": "relaxed",
  "lattice_angstrom": [[5.193, 0.000, 0.000], [-2.583, 4.511, 0.000], [-0.017, -2.987, 5.036]],
  "species": ["Mg", "Ti", "Ti", "Fe", "Fe", "O", "O", "O", "O", "O", "O"],
  "frac_coords": [[0.000, 0.000, 0.000], [0.348, 0.694, 0.036], [0.824, 0.645, 0.468], [0.169, 0.336, 0.503], [0.637, 0.271, 0.901], [0.063, 0.804, 0.226], [0.205, 0.796, 0.753], [0.423, 0.483, 0.230], [0.590, 0.546, 0.752], [0.742, 0.162, 0.228], [0.957, 0.161, 0.748]],
  "formation_enthalpy_0k_ev_per_fu": -26.80,
  "volume_a3_per_cell": 118,
  "polymorph_energy_kj_per_mol_atoms": 6.6,
  "spacegroup": "P1 (1)"
}


# 17
{
  "formula": "MgTi2Fe2O6",
  "functional": "PBE with a Hubbard U",
  "state": "relaxed",
  "lattice_angstrom": [[5.133, 0.000, 0.000], [2.560, 4.491, 0.000], [0.046, 2.893, 5.146]],
  "species": ["Mg", "Ti", "Ti", "Fe", "Fe", "O", "O", "O", "O", "O", "O"],
  "frac_coords": [[0.000, 0.000, 0.000], [0.339, 0.313, 0.045], [0.661, 0.687, 0.955], [0.177, 0.660, 0.509], [0.823, 0.340, 0.491], [0.059, 0.534, 0.234], [0.248, 0.803, 0.774], [0.410, 0.845, 0.217], [0.590, 0.155, 0.783], [0.752, 0.197, 0.226], [0.941, 0.466, 0.766]],
  "formation_enthalpy_0k_ev_per_fu": -27.14,
  "volume_a3_per_cell": 119,
  "polymorph_energy_kj_per_mol_atoms": 3.6,
  "spacegroup": "P-1 (2)"
}